This record from the Materials Project database describes an optimized crystal structure of Li8Mn3VP6O24. The functional is GGA+U.

Values from the calculation:
Energy of formation = -2.64 eV/atom
E (MP2020) = -313.824 eV for the cell shown
SG = P1 (1)
Calculated volume = 11.8 A^3/atom
Spin magnetization = 16.00 Bohr magnetons per cell

a = 8.4182 Å, b = 8.4749 Å, c = 9.2826 Å
α = 91.14°, β = 116.15°, γ = 119.36°
Last column: nearest neighbours and their distance in Å.
Sites, in units of the cell vectors:
O (0.3074, 0.4454, 0.0996)  1 P 1.59
O (0.3826, 0.7929, 0.4075)  1 P 1.53
O (0.7456, 0.2131, 0.9036)  1 P 1.60
O (0.6768, 0.1605, 0.1893)  1 P 1.57
O (0.6642, 0.4948, 0.1798)  1 P 1.58
O (0.3406, 0.5054, 0.8202)  1 P 1.57
O (0.6378, 0.8478, 0.1072)  1 P 1.59
O (0.8001, 0.0293, 0.4165)  1 P 1.53
O (0.3819, 0.3975, 0.5911)  1 P 1.51
O (0.2073, 0.9668, 0.5891)  1 P 1.52
O (0.1068, 0.8675, 0.2468)  1 P 1.53
O (0.6214, 0.6059, 0.4044)  1 P 1.51
O (0.5680, 0.7507, 0.7264)  1 P 1.56
O (0.3601, 0.1485, 0.8954)  1 P 1.60
O (0.2554, 0.7889, 0.0993)  1 P 1.59
O (0.9864, 0.4709, 0.8224)  1 P 1.55
O (0.0144, 0.5290, 0.1778)  1 P 1.56
O (0.6967, 0.5654, 0.8965)  1 P 1.58
O (0.4246, 0.2513, 0.2672)  1 P 1.55
O (0.3185, 0.8322, 0.8176)  1 P 1.58
O (0.9971, 0.1453, 0.2539)  1 P 1.54
O (0.6180, 0.2086, 0.5926)  1 P 1.52
O (0.9996, 0.8526, 0.7441)  1 P 1.53
O (0.8921, 0.1325, 0.7560)  1 P 1.54
P (0.5063, 0.4514, 0.2442)  4 O 1.51-1.59
P (0.2145, 0.9485, 0.7545)  4 O 1.52-1.60
P (0.7836, 0.0477, 0.2479)  4 O 1.53-1.59
P (0.8084, 0.2565, 0.7622)  4 O 1.52-1.60
P (0.4947, 0.5508, 0.7520)  4 O 1.51-1.58
P (0.1914, 0.7456, 0.2379)  4 O 1.53-1.59
Li (0.6364, 0.9438, 0.9041)  4 O 1.97-2.07
Li (0.8031, 0.7343, 0.1325)  4 O 1.91-2.13
Li (0.0727, 0.3398, 0.1477)  3 O 1.92-1.99
Li (0.9279, 0.6609, 0.8535)  3 O 1.92-1.95
Li (0.1967, 0.2652, 0.8648)  4 O 1.92-2.15
Li (0.6696, 0.2022, 0.4082)  3 O 1.95-2.15
Li (0.3295, 0.7969, 0.5905)  4 O 1.94-2.17
Li (0.3660, 0.0559, 0.0982)  4 O 1.96-2.04
Mn (0.2844, 0.1482, 0.4377)  6 O 2.08-2.31
Mn (0.7116, 0.8500, 0.5618)  6 O 2.09-2.28
Mn (0.6889, 0.3504, 0.0314)  5 O 1.97-2.19
V (0.3111, 0.6491, 0.9668)  6 O 1.98-2.14